Crystalline NbC4N3O13 at its relaxed geometry, computed with PBE.

POSCAR file:
```
NbC4N3O13
1.0
9.1254 0.0000 0.0000
0.0000 12.8244 0.0000
0.0000 0.9952 16.1905
Nb C N O
4 16 12 52
direct
0.9378 0.1991 0.8723
0.9378 0.8009 0.6277
0.0622 0.8009 0.1277
0.0622 0.1991 0.3723
0.6749 0.4586 0.0819
0.6749 0.5414 0.4181
0.3251 0.5414 0.9181
0.3251 0.4586 0.5819
0.5455 0.2697 0.9714
0.5455 0.7303 0.5286
0.4545 0.7303 0.0286
0.4545 0.2697 0.4714
0.4621 0.1218 0.7955
0.4621 0.8782 0.7045
0.5379 0.8782 0.2045
0.5379 0.1218 0.2955
0.6782 0.0041 0.9030
0.6782 0.9959 0.5970
0.3218 0.9959 0.0970
0.3218 0.0041 0.4030
0.8634 0.0621 0.1223
0.8634 0.9379 0.3777
0.1366 0.9379 0.8777
0.1366 0.0621 0.6223
0.7195 0.2935 0.6219
0.7195 0.7065 0.8781
0.2805 0.7065 0.3781
0.2805 0.2935 0.1219
0.7785 0.3776 0.3070
0.7785 0.6224 0.1930
0.2215 0.6224 0.6930
0.2215 0.3776 0.8070
0.0439 0.1371 0.9756
0.0439 0.8629 0.5244
0.9561 0.8629 0.0244
0.9561 0.1371 0.4756
0.1385 0.2015 0.9266
0.1385 0.7985 0.5734
0.8615 0.7985 0.0734
0.8615 0.2015 0.4266
0.9039 0.1580 0.7534
0.9039 0.8420 0.7466
0.0961 0.8420 0.2466
0.0961 0.1580 0.2534
0.0338 0.2150 0.7590
0.0338 0.7850 0.7410
0.9662 0.7850 0.2410
0.9662 0.2150 0.2590
0.6152 0.2349 0.0277
0.6152 0.7651 0.4723
0.3848 0.7651 0.9723
0.3848 0.2349 0.5277
0.6561 0.4118 0.1456
0.6561 0.5882 0.3544
0.3439 0.5882 0.8544
0.3439 0.4118 0.6456
0.6925 0.5046 0.0176
0.6925 0.4954 0.4824
0.3075 0.4954 0.9824
0.3075 0.5046 0.5176
0.8420 0.3121 0.8918
0.8420 0.6879 0.6082
0.1580 0.6879 0.1082
0.1580 0.3121 0.3918
0.4746 0.3027 0.9152
0.4746 0.6973 0.5848
0.5254 0.6973 0.0848
0.5254 0.3027 0.4152
0.3429 0.1213 0.7742
0.3429 0.8787 0.7258
0.6571 0.8787 0.2258
0.6571 0.1213 0.2742
0.5962 0.9345 0.9025
0.5962 0.0655 0.5975
0.4038 0.0655 0.0975
0.4038 0.9345 0.4025
0.7608 0.0748 0.9057
0.7608 0.9252 0.5943
0.2392 0.9252 0.0943
0.2392 0.0748 0.4057
0.8860 0.5000 0.7500
0.1140 0.5000 0.2500
0.7511 0.5000 0.7500
0.2489 0.5000 0.2500
```

* MP2020-corrected energy: -6.4189 eV/atom
* crystal system: monoclinic



Crystalline TaNbCN at its relaxed geometry, computed with PBE.

POSCAR file:
```
TaNbCN
1.0
5.2716 -1.5825 0.0000
5.2716 1.5825 0.0000
4.7965 0.0000 2.6994
Ta Nb C N
1 1 1 1
direct
0.7441 0.7441 0.7441
0.2575 0.2575 0.2575
0.0023 0.0023 0.0023
0.4961 0.4961 0.4961
```

* MP2020-corrected energy: -10.7227 eV/atom
* crystal system: trigonal



Crystalline NbVCN at its relaxed geometry, computed with PBE.

POSCAR file:
```
NbVCN
1.0
-4.0550 3.0864 1.4560
-3.6326 1.0489 3.7139
-1.8216 3.5207 3.5179
Nb V C N
1 1 1 1
direct
0.7457 0.7457 0.7457
0.2585 0.2585 0.2585
0.9928 0.9928 0.9928
0.5031 0.5031 0.5031
```

* MP2020-corrected energy: -9.9504 eV/atom
* crystal system: trigonal
* energy relative to the lowest polymorph listed for this composition: 0.00 eV/f.u.



Crystalline NbVCN at its relaxed geometry, computed with PBE.

POSCAR file:
```
NbVCN
1.0
3.0862 0.0000 0.0000
0.0000 3.0862 0.0000
0.0000 0.0000 4.3034
Nb V C N
1 1 1 1
direct
0.5000 0.5000 0.5000
0.0000 0.0000 0.0000
0.0000 0.0000 0.5000
0.5000 0.5000 0.0000
```

* MP2020-corrected energy: -9.8980 eV/atom
* crystal system: tetragonal
* energy relative to the lowest polymorph listed for this composition: 0.21 eV/f.u.



Crystalline NdSi6C18N3 at its relaxed geometry, computed with PBE.

POSCAR file:
```
NdSi6C18N3
1.0
-8.2809 -10.1250 -5.7860
9.9392 -3.9143 3.6150
-1.4533 -1.4925 5.7420
Nd Si C N
2 12 36 6
direct
0.3019 0.6510 0.7500
0.6981 0.3490 0.2500
0.0577 0.6572 0.5719
0.5515 0.8724 0.8707
0.2594 0.4228 0.1897
0.9423 0.5995 0.0719
0.7406 0.1634 0.6897
0.4485 0.3209 0.3707
0.9423 0.3428 0.4281
0.4485 0.1276 0.1293
0.7406 0.5772 0.8103
0.0577 0.4005 0.9281
0.2594 0.8366 0.3103
0.5515 0.6791 0.6293
0.1406 0.7207 0.9611
0.5686 0.9567 0.2572
0.3413 0.3334 0.1699
0.8594 0.5802 0.4611
0.6587 0.9920 0.6699
0.4314 0.3881 0.7572
0.8594 0.2793 0.0389
0.4314 0.0433 0.7428
0.6587 0.6666 0.8301
0.1406 0.4198 0.5389
0.3413 0.0080 0.3301
0.5686 0.6119 0.2428
0.0456 0.6567 0.8702
0.5794 0.8462 0.1837
0.3890 0.4038 0.9498
0.9544 0.6111 0.3702
0.6110 0.0148 0.4498
0.4206 0.2668 0.6837
0.9544 0.3433 0.1298
0.4206 0.1538 0.8163
0.6110 0.5962 0.0502
0.0456 0.3889 0.6298
0.3890 0.9852 0.5502
0.5794 0.7332 0.3163
0.2251 0.7712 0.0530
0.5167 0.0220 0.1012
0.3861 0.5061 0.0366
0.7749 0.5461 0.5530
0.6139 0.1200 0.5366
0.4833 0.5053 0.6012
0.7749 0.2288 0.9470
0.4833 0.9780 0.8988
0.6139 0.4939 0.9634
0.2251 0.4539 0.4470
0.3861 0.8800 0.4634
0.5167 0.4947 0.3988
0.1798 0.7286 0.5116
0.4822 0.7411 0.7500
0.1798 0.4512 0.9884
0.8202 0.5488 0.0116
0.8202 0.2714 0.4884
0.5178 0.2589 0.2500
```

* MP2020-corrected energy: -7.7424 eV/atom
* crystal system: monoclinic



Crystalline NiC2N2 at its relaxed geometry, computed with PBE.

POSCAR file:
```
NiC2N2
1.0
-1.9774 -6.5852 -11.9577
-0.2154 -2.6138 1.4750
-6.2898 0.8433 0.5757
Ni C N
4 8 8
direct
0.6363 0.2500 0.4710
0.1363 0.2500 0.0290
0.3637 0.7500 0.5290
0.8637 0.7500 0.9710
0.7895 0.2500 0.1277
0.2895 0.2500 0.3723
0.2105 0.7500 0.8723
0.7105 0.7500 0.6277
0.9503 0.2500 0.8325
0.4503 0.2500 0.6675
0.0497 0.7500 0.1675
0.5497 0.7500 0.3325
0.5357 0.2500 0.6836
0.0357 0.2500 0.8164
0.4643 0.7500 0.3164
0.9643 0.7500 0.1836
0.7290 0.2500 0.2579
0.2290 0.2500 0.2421
0.2710 0.7500 0.7421
0.7710 0.7500 0.7579
```

* MP2020-corrected energy: -7.6875 eV/atom
* crystal system: orthorhombic



Crystalline Ni2C3N6 at its relaxed geometry, computed with PBE.

POSCAR file:
```
Ni2C3N6
1.0
9.6978 -0.2453 -0.1484
1.6080 5.1084 0.0000
-25.8764 8.1451 5.0041
Ni C N
4 6 12
direct
0.0007 0.9996 0.1658
0.0007 0.9997 0.6658
0.9993 0.0004 0.8343
0.9993 0.0003 0.3343
0.9588 0.6804 0.0696
0.9996 0.6806 0.7499
0.0415 0.6392 0.4305
0.9588 0.3608 0.5696
0.0415 0.3193 0.9305
0.9996 0.3198 0.2499
0.8906 0.7395 0.0910
0.1085 0.6307 0.8304
0.0005 0.6301 0.4610
0.8906 0.3699 0.5910
0.0005 0.3694 0.9610
0.1085 0.2608 0.3304
0.1085 0.2608 0.9087
0.8913 0.3697 0.1696
0.0006 0.3693 0.5393
0.1085 0.6308 0.4087
0.0006 0.6302 0.0393
0.8913 0.7390 0.6696
```

* MP2020-corrected energy: -7.9298 eV/atom
* crystal system: trigonal
* energy relative to the lowest polymorph listed for this composition: 0.00 eV/f.u.



Crystalline Ni2C3N6 at its relaxed geometry, computed with PBE.

POSCAR file:
```
Ni2C3N6
1.0
5.6862 -0.6090 -0.4374
2.4808 4.1270 0.0000
-12.0972 7.2718 5.2231
Ni C N
2 3 6
direct
0.0000 0.0000 0.8312
0.0000 0.0000 0.1688
0.0086 0.6609 0.6695
0.0000 0.6695 0.0000
0.9914 0.6695 0.3305
0.9715 0.6906 0.2419
0.9853 0.6621 0.5799
0.0432 0.6474 0.9325
0.0147 0.6474 0.4201
0.9568 0.6906 0.0675
0.0285 0.6621 0.7581
```

* MP2020-corrected energy: -7.6543 eV/atom
* crystal system: trigonal
* energy relative to the lowest polymorph listed for this composition: 3.03 eV/f.u.



Crystalline NiC6N9 at its relaxed geometry, computed with PBE.

POSCAR file:
```
NiC6N9
1.0
7.1846 0.5609 0.0000
10.2928 7.0626 0.0000
0.0000 0.0000 11.9755
Ni C N
2 12 18
direct
0.0000 0.3075 0.2500
0.0000 0.6925 0.7500
0.6796 0.8091 0.2500
0.6796 0.5113 0.7500
0.3204 0.1909 0.7500
0.3204 0.4887 0.2500
0.6818 0.2975 0.8988
0.6818 0.0207 0.1012
0.6818 0.2975 0.6012
0.6818 0.0207 0.3988
0.3182 0.7025 0.1012
0.3182 0.9793 0.8988
0.3182 0.7025 0.3988
0.3182 0.9793 0.6012
0.0000 0.6040 0.2500
0.0000 0.3960 0.7500
0.3728 0.9960 0.2500
0.3728 0.6312 0.7500
0.6272 0.0040 0.7500
0.6272 0.3688 0.2500
0.0000 0.1550 0.9448
0.0000 0.8450 0.0552
0.0000 0.1550 0.5552
0.0000 0.8450 0.4448
0.3780 0.4373 0.8638
0.3780 0.1847 0.1362
0.3780 0.4373 0.6362
0.3780 0.1847 0.3638
0.6220 0.5627 0.1362
0.6220 0.8153 0.8638
0.6220 0.5627 0.3638
0.6220 0.8153 0.6362
```

* MP2020-corrected energy: -8.1418 eV/atom
* crystal system: orthorhombic



Crystalline NiPtC6N6 at its relaxed geometry, computed with PBE.

POSCAR file:
```
NiPtC6N6
1.0
-0.0173 -3.4633 6.5223
-2.4628 3.4871 6.0258
-6.3947 -2.0296 3.0861
Ni Pt C N
1 1 6 6
direct
0.5000 0.5000 0.5000
0.0000 0.0000 0.0000
0.8067 0.1933 0.1933
0.1933 0.8067 0.8067
0.1933 0.8067 0.1933
0.8067 0.1933 0.8067
0.1933 0.1933 0.8067
0.8067 0.8067 0.1933
0.6954 0.3046 0.3046
0.3046 0.6954 0.6954
0.3046 0.6954 0.3046
0.6954 0.3046 0.6954
0.3046 0.3046 0.6954
0.6954 0.6954 0.3046
```

* MP2020-corrected energy: -8.1365 eV/atom
* crystal system: cubic



Crystalline NiC2S2N6 at its relaxed geometry, computed with PBE.

POSCAR file:
```
NiC2S2N6
1.0
3.9532 5.4382 0.0000
-3.9532 5.4382 0.0000
0.0000 1.5941 5.2403
Ni C S N
1 2 2 6
direct
0.0000 0.0000 0.0000
0.2352 0.2352 0.5471
0.7648 0.7648 0.4529
0.3602 0.3602 0.3075
0.6398 0.6398 0.6925
0.9030 0.2485 0.1562
0.2485 0.9030 0.1562
0.0970 0.7515 0.8438
0.7515 0.0970 0.8438
0.1417 0.1417 0.7257
0.8583 0.8583 0.2743
```

* MP2020-corrected energy: -5.9460 eV/atom
* crystal system: monoclinic



Crystalline Ni2C15Se4S16N at its relaxed geometry, computed with PBE.

POSCAR file:
```
Ni2C15Se4S16N
1.0
-3.1057 5.8979 -1.4836
2.3848 -0.6390 7.8991
16.9283 4.5840 -3.6560
Ni C Se S N
2 15 4 16 1
direct
0.7722 0.7375 0.5342
0.2271 0.2620 0.4659
0.7298 0.2204 0.0298
0.3070 0.8255 0.9197
0.7329 0.7998 0.3648
0.2672 0.2003 0.6353
0.6967 0.6429 0.8332
0.3057 0.3626 0.1660
0.8187 0.6634 0.7028
0.1797 0.3351 0.2974
0.8708 0.8116 0.2353
0.1305 0.1883 0.7648
0.9224 0.7683 0.3821
0.0774 0.2311 0.6180
0.6322 0.6987 0.6888
0.3672 0.3006 0.3112
0.4588 0.9609 0.9524
0.8998 0.8211 0.1371
0.1032 0.1795 0.8633
0.6747 0.6185 0.9332
0.3264 0.3961 0.0671
0.6600 0.8365 0.2696
0.3410 0.1636 0.7304
0.0516 0.7708 0.3060
0.9479 0.2272 0.6943
0.5125 0.6927 0.7680
0.4873 0.3088 0.2318
0.5918 0.7991 0.4347
0.4086 0.2013 0.5654
0.5407 0.7483 0.5999
0.4589 0.2517 0.4001
0.0111 0.7292 0.4724
0.9880 0.2702 0.5278
0.9039 0.6233 0.7960
0.0989 0.3813 0.2047
0.9571 0.6716 0.6308
0.0422 0.3273 0.3694
0.6007 0.0985 0.9909
```

* MP2020-corrected energy: -6.0707 eV/atom
* crystal system: triclinic



Crystalline Tl2NiC4N4 at its relaxed geometry, computed with PBE.

POSCAR file:
```
Tl2NiC4N4
1.0
7.3850 0.0000 0.0000
0.0000 6.3132 0.0000
0.0000 3.7463 9.1280
Tl Ni C N
4 2 8 8
direct
0.3473 0.6979 0.5798
0.1527 0.6979 0.0798
0.8473 0.3021 0.9202
0.6527 0.3021 0.4202
0.5000 0.0000 0.0000
0.0000 0.0000 0.5000
0.1542 0.2494 0.4409
0.5011 0.0050 0.8116
0.4989 0.9950 0.1884
0.8458 0.7506 0.5591
0.0011 0.9950 0.6884
0.6542 0.7506 0.0591
0.9989 0.0050 0.3116
0.3458 0.2494 0.9409
0.4982 0.9908 0.3085
0.7452 0.5940 0.5975
0.5018 0.0092 0.6915
0.9982 0.0092 0.1915
0.7548 0.5940 0.0975
0.0018 0.9908 0.8085
0.2452 0.4060 0.9025
0.2548 0.4060 0.4025
```

* MP2020-corrected energy: -7.2340 eV/atom
* crystal system: monoclinic